[1]
Density functional theory data (PBE+U) for a geometry-optimized Ca11Cr7O28 structure.

```
Ca11Cr7O28
1.0
13.206 -5.428 0.000
13.206 5.428 0.000
10.976 0.000 9.132
Ca Cr O
22 14 56
Cartesian
34.406 0.000 8.404
27.165 0.000 6.635
24.259 -2.206 7.352
24.299 2.303 7.188
25.205 -0.097 3.477
20.300 -2.013 6.341
17.487 0.097 8.043
20.364 2.170 6.077
21.192 -0.157 2.690
16.639 2.989 6.035
18.771 -3.222 2.786
16.707 -3.153 5.760
18.811 3.124 2.622
13.473 0.157 7.256
17.935 0.164 0.730
15.712 0.000 3.838
14.812 -3.414 1.775
14.876 3.257 1.511
10.216 -0.164 5.297
11.151 2.438 1.469
11.219 -2.275 1.194
8.471 0.000 2.069
37.153 0.000 9.075
20.747 -2.381 0.259
18.595 -2.855 9.069
19.574 5.236 5.062
27.900 -2.724 8.723
28.000 2.967 8.313
29.119 -0.244 3.730
18.459 0.000 4.509
13.029 2.381 4.825
13.108 -2.573 4.503
14.086 0.192 0.496
22.412 -2.704 4.157
22.512 2.460 3.747
21.401 0.244 8.296
1.487 0.000 0.363
25.098 -0.794 1.143
23.211 -3.799 8.871
23.537 4.593 7.535
22.340 -1.717 0.535
20.286 -3.282 8.947
20.992 4.999 6.057
20.009 1.362 0.808
7.187 -1.409 0.797
7.145 1.511 0.968
19.713 -1.330 1.168
18.179 -2.403 7.450
18.318 2.751 7.728
18.726 3.734 5.212
18.878 -4.113 5.436
17.283 2.998 0.865
16.963 -2.346 1.263
15.506 1.325 8.138
6.566 -0.102 3.339
28.559 -1.364 7.894
28.596 1.455 7.742
15.485 -1.250 7.314
26.249 -3.021 8.336
26.293 3.130 8.153
29.157 -0.091 5.447
16.738 -4.323 3.094
16.449 3.597 3.366
27.535 -0.108 3.070
20.181 0.000 4.929
17.380 0.794 5.709
17.723 -1.629 4.305
18.049 0.835 2.968
14.622 1.717 5.102
14.798 -2.146 4.380
15.504 0.429 1.491
12.290 -1.362 5.374
11.995 1.330 5.734
25.881 1.409 5.363
25.839 -1.511 5.534
12.831 2.677 3.162
12.691 -3.024 2.884
13.390 -1.315 0.870
13.238 1.694 0.645
22.771 2.430 5.431
22.451 -3.081 5.829
23.225 -1.325 3.572
25.260 0.102 7.906
9.865 1.364 3.328
9.902 -1.455 3.176
23.203 1.250 2.748
20.761 -2.406 3.770
20.805 2.298 3.587
10.463 0.091 0.880
22.226 -1.105 7.660
21.937 1.831 7.932
19.816 0.108 7.636
```

## Properties
electronic total energy = -6.821 eV per atom
energy relative to the elements = -2.58 eV per atom
total moment = 0.063 μB/atom
calculated volume = 655 Å³/f.u.
density = 3.2 Mg/m³

[2]
Density functional theory data (PBE+U) for a geometry-optimized SrCaEuFeO6 structure.

```
SrCaEuFeO6
1.0
4.847 2.174 2.103
3.439 3.088 -3.358
0.486 5.634 0.818
Sr Ca Eu Fe O
1 1 1 1 6
Cartesian
2.193 2.724 -0.109
0.000 0.000 0.000
6.579 8.172 -0.328
4.386 5.448 -0.219
4.598 3.945 0.847
4.174 6.952 -1.285
4.821 6.532 1.223
3.951 4.364 -1.661
6.177 5.363 -0.695
2.595 5.533 0.257
```

## Properties
electronic total energy = -6.993 eV per atom
energy relative to the elements = -2.42 eV per atom
total moment = 0.900 μB/atom
calculated volume = 132 Å³/f.u.
density = 5.4 Mg/m³

[3]
Density functional theory data (PBE+U) for a geometry-optimized Li4V3P8O29 structure.

```
Li4V3P8O29
1.0
4.911 8.453 0.000
-4.911 8.453 0.000
0.000 0.042 14.017
Li V P O
8 6 16 58
Cartesian
0.692 14.232 0.846
-0.692 14.252 7.855
2.887 10.373 7.791
-2.887 10.352 0.782
2.871 6.591 13.202
-2.871 6.570 6.193
0.680 2.665 6.184
-0.680 2.686 13.193
2.765 12.136 10.519
2.771 4.846 10.509
0.663 8.465 3.509
-0.663 8.486 10.518
-2.765 12.116 3.510
-2.771 4.826 3.501
0.692 14.253 11.824
-0.692 14.232 4.815
2.904 10.419 4.750
0.008 11.304 8.808
-0.008 11.283 1.800
2.217 9.193 11.820
2.211 7.775 9.202
-2.904 10.439 11.759
2.910 6.528 2.251
-2.217 9.173 4.811
-2.211 7.754 2.193
-0.005 5.669 12.211
0.005 5.648 5.202
-2.910 6.549 9.260
0.690 2.738 9.212
-0.690 2.717 2.203
-3.705 6.419 7.996
0.844 14.079 4.771
-1.019 15.151 3.519
3.705 6.398 0.987
1.387 12.885 11.501
-0.844 14.100 11.780
0.679 12.575 2.328
2.073 11.703 4.518
-1.080 2.063 0.931
2.830 10.633 11.780
-0.679 12.596 9.337
1.509 11.274 9.415
-1.387 12.864 4.493
0.112 11.271 7.324
-0.112 11.250 0.316
-2.073 11.724 11.527
0.693 10.033 2.459
-1.509 11.253 2.406
1.980 9.185 4.681
2.845 8.489 10.511
2.589 8.442 13.039
2.562 8.544 7.986
0.686 9.280 11.560
-0.693 10.054 9.468
-2.830 10.612 4.771
1.974 7.742 2.305
-0.686 9.259 4.551
-1.185 14.811 6.087
1.080 2.084 7.939
0.686 7.682 9.485
-1.980 9.206 11.690
1.021 1.807 10.499
2.834 6.349 9.241
0.734 6.891 4.553
-0.686 7.661 2.476
-2.562 8.523 0.978
-2.589 8.421 6.030
-2.845 8.468 3.503
-1.974 7.763 9.314
1.471 5.716 11.667
2.083 5.228 2.501
-0.734 6.912 11.562
0.034 5.611 6.691
-0.034 5.631 13.700
1.348 4.092 9.488
-1.471 5.695 4.658
0.737 4.347 4.616
-2.834 6.328 2.232
1.019 15.172 10.527
1.185 14.832 13.096
-2.083 5.249 9.510
-0.737 4.368 11.625
0.877 2.858 2.295
-1.348 4.071 2.480
-3.710 10.527 13.021
-0.877 2.879 9.304
3.710 10.506 6.013
-1.021 1.786 3.490
```

## Properties
electronic total energy = -7.039 eV per atom
energy relative to the elements = -2.57 eV per atom
total moment = 0.023 μB/atom
calculated volume = 582 Å³/f.u.
density = 2.5 Mg/m³

[4]
Density functional theory data (PBE+U) for a geometry-optimized K2LiCrF6 structure.

```
K2LiCrF6
1.0
0.521 -4.153 3.927
-4.253 -0.974 3.728
-3.158 -4.772 -0.433
K Li Cr F
2 1 1 6
Cartesian
-1.723 -2.475 1.805
-5.168 -7.424 5.416
-3.445 -4.950 3.611
0.000 0.000 0.000
-1.390 -4.537 3.775
-5.501 -5.363 3.447
-3.864 -2.890 3.671
-3.027 -7.010 3.550
-3.297 -4.858 1.515
-3.594 -5.042 5.706
```

## Properties
electronic total energy = -5.197 eV per atom
energy relative to the elements = -3.15 eV per atom
total moment = 0.300 μB/atom
calculated volume = 134 Å³/f.u.
density = 3.1 Mg/m³

[5]
Density functional theory data (PBE+U) for a geometry-optimized W2CO structure.

```
W2CO
1.0
-2.678 0.210 -1.215
2.383 -0.247 -1.718
-0.539 -6.103 0.130
W C O
2 1 1
Cartesian
-1.113 -1.322 -1.353
-1.408 -4.665 -1.282
0.696 -0.094 -1.551
0.427 -3.146 -1.486
```

## Properties
electronic total energy = -6.879 eV per atom
energy relative to the elements = 0.75 eV per atom
total moment = 0.086 μB/atom
calculated volume = 46 Å³/f.u.
density = 14.2 Mg/m³

[6]
Density functional theory data (PBE+U) for a geometry-optimized Sr11LaFe6Mo6O36 structure.

```
Sr11LaFe6Mo6O36
1.0
5.637 0.000 0.000
2.769 9.391 0.000
2.768 2.383 14.635
Sr La Fe Mo O
11 1 6 6 36
Cartesian
5.588 8.421 1.786
2.790 4.249 4.239
8.391 9.321 6.712
5.569 5.000 9.139
5.570 10.052 11.651
8.371 5.935 14.032
2.800 5.972 0.570
5.623 1.715 3.073
5.570 6.737 5.455
2.795 2.468 7.925
5.586 3.171 12.781
8.365 7.650 10.529
2.784 5.895 7.323
8.374 9.208 13.434
5.593 5.095 2.401
5.574 10.176 4.889
8.353 10.971 9.776
5.576 6.710 12.215
5.536 11.764 14.623
2.796 2.564 1.233
8.397 7.631 3.682
5.614 3.345 6.092
8.407 4.157 10.952
5.564 8.417 8.530
5.624 5.961 0.619
2.806 1.695 3.000
8.386 6.770 5.516
5.631 2.439 7.928
5.560 7.535 10.349
8.388 3.294 12.761
4.386 3.636 1.760
4.300 8.747 4.189
7.142 4.424 6.627
7.223 9.453 9.086
4.310 5.218 11.471
9.956 10.340 13.933
4.015 1.095 0.535
4.006 6.214 2.995
6.877 1.921 5.399
6.726 7.019 7.854
4.014 2.697 10.273
9.578 7.750 12.631
8.401 8.490 1.868
5.618 4.227 4.276
5.573 9.317 6.704
8.373 5.049 9.143
8.410 10.026 11.518
5.562 5.759 14.078
1.590 3.991 1.918
7.166 9.113 4.359
4.352 4.770 6.795
4.404 9.820 9.212
7.194 5.638 11.617
7.143 10.685 14.084
1.199 1.453 0.706
6.874 6.550 3.180
4.064 2.278 5.571
3.910 7.351 8.081
6.872 3.062 10.433
6.807 8.094 12.845
```

## Properties
electronic total energy = -6.891 eV per atom
energy relative to the elements = -2.56 eV per atom
total moment = 0.617 μB/atom
calculated volume = 775 Å³/f.u.
density = 5.6 Mg/m³

[7]
Density functional theory data (PBE+U) for a geometry-optimized PrCuMo2O8 structure.

```
PrCuMo2O8
1.0
-4.948 5.172 7.116
-9.143 -2.249 -4.723
-1.191 -12.500 8.258
Pr Cu Mo O
8 8 16 64
Cartesian
-5.232 -7.264 12.768
-6.691 -10.818 7.178
-5.827 -4.848 2.663
-8.591 1.241 3.473
-9.455 -4.729 7.988
-10.914 -8.283 2.399
-4.368 -1.294 8.252
-10.050 -2.313 -2.117
-8.814 -4.663 0.043
-9.960 -10.338 4.963
-6.468 -4.914 10.608
-10.027 -1.766 4.252
-11.173 -7.441 9.173
-5.322 0.761 5.688
-4.109 -2.136 1.478
-5.255 -7.811 6.399
-5.676 -5.032 6.836
-2.797 -9.928 7.725
-12.302 -6.713 5.936
-7.138 -8.638 3.768
-7.626 -2.316 10.665
-12.653 -8.233 11.469
-7.657 -7.261 -0.014
-2.980 -2.864 4.715
-7.321 -1.574 0.758
-8.144 -0.939 6.883
-12.485 0.351 2.926
-9.606 -4.545 3.815
-2.629 -1.344 -0.818
-10.704 -10.948 7.641
-4.579 1.371 3.010
-7.961 -8.003 9.893
-7.266 -5.553 0.627
-10.562 -4.381 -0.657
-5.008 1.226 1.284
-4.185 -5.094 0.843
-5.120 -3.566 7.691
-6.582 -8.849 5.510
-5.330 -9.439 11.632
-5.934 -2.653 1.306
-5.961 4.186 5.627
-5.918 -4.657 5.110
-8.129 2.255 5.632
-7.213 -5.575 7.588
-12.363 1.491 1.569
-11.161 -6.462 7.325
-4.121 -3.116 3.326
-6.749 -0.323 -0.367
-10.162 -6.011 2.960
-8.069 -4.002 3.063
-7.153 -11.832 5.019
-8.016 -4.024 10.024
-9.200 -10.404 6.681
-6.990 -6.944 3.253
-8.533 -9.254 11.018
-6.728 -5.479 13.570
-9.364 -4.920 5.541
-8.536 -2.596 -0.122
-13.000 -2.020 5.351
-6.391 -0.479 6.989
-11.589 -7.799 4.717
-6.746 -6.981 10.772
-12.085 -9.850 7.307
-4.476 -9.617 7.109
-12.604 -5.130 5.189
-6.298 -1.555 9.750
-10.331 2.964 3.659
-2.412 -1.465 1.030
-3.198 0.273 3.343
-11.210 -10.577 3.547
-10.936 -3.261 3.567
-4.346 -6.316 7.084
-3.693 -1.778 5.934
-12.870 -8.112 9.621
-8.985 -8.022 0.901
-4.167 -6.526 3.347
-4.951 -12.541 6.992
-8.701 -0.728 5.140
-4.720 -5.196 11.308
-9.952 -0.138 -0.981
-8.891 -9.098 3.662
-10.274 -10.803 9.367
-11.115 -3.051 7.304
-2.282 -7.557 5.299
-4.072 0.999 7.104
-8.555 -4.098 -2.919
-2.919 -11.068 9.082
-10.806 0.040 3.542
-8.292 -2.633 7.398
-11.097 -4.483 9.808
-9.349 -6.924 9.345
-2.678 -4.447 5.462
-6.082 0.827 3.970
-8.062 -0.782 2.171
-7.220 -8.795 8.480
-9.321 -13.764 5.024
```

## Properties
electronic total energy = -7.122 eV per atom
energy relative to the elements = -2.27 eV per atom
total moment = 0.000 μB/atom
calculated volume = 200 Å³/f.u.
density = 4.4 Mg/m³

[8]
Density functional theory data (PBE+U) for a geometry-optimized SrFeO3 structure.

```
SrFeO3
1.0
3.913 0.000 0.000
0.000 3.913 0.000
0.000 0.000 3.913
Sr Fe O
1 1 3
Cartesian
1.957 1.957 1.957
0.000 0.000 0.000
1.957 0.000 0.000
0.000 1.957 0.000
0.000 0.000 1.957
```

## Properties
electronic total energy = -6.361 eV per atom
energy relative to the elements = -2.22 eV per atom
calculated volume = 60 Å³/f.u.
density = 5.3 Mg/m³